## Zn2GeS3 (GGA-PBE)

Data for Zn2GeS3 after structural relaxation.

Output
Volume   22.63 A^3/atom
Energy of formation from the pure elements   -757.8 meV per atom
Electronic total energy   -3.76 eV per atom

```
data_Zn2GeS3
_chemical_formula_sum 'Zn2 Ge1 S3'
_cell_length_a 3.8580
_cell_length_b 3.8580
_cell_length_c 10.5329
_cell_angle_alpha 90.00
_cell_angle_beta 90.00
_cell_angle_gamma 120.00
_space_group_name_H-M_alt 'P 3 m 1'
_space_group_IT_number 156
loop_
_space_group_symop_operation_xyz
'x,y,z'
'-y,x-y,z'
'-x+y,-x,z'
'-y,-x,z'
'-x+y,y,z'
'x,x-y,z'
loop_
_atom_site_label
_atom_site_type_symbol
_atom_site_fract_x
_atom_site_fract_y
_atom_site_fract_z
Zn1 Zn 0.0000 0.0000 0.0000
Zn2 Zn 0.3333 0.6667 0.7033
Ge1 Ge 0.6667 0.3333 0.3518
S1 S 0.0000 0.0000 0.2329
S2 S 0.3333 0.6667 0.9363
S3 S 0.6667 0.3333 0.6365
```

## ZrGeS (GGA-PBE)

Data for ZrGeS after structural relaxation.

Output
Volume   18.06 A^3/atom
Energy of formation from the pure elements   -1303.9 meV per atom
Electronic total energy   -6.91 eV per atom

```
data_ZrGeS
_chemical_formula_sum 'Zr2 Ge2 S2'
_cell_length_a 3.6561
_cell_length_b 3.6561
_cell_length_c 8.1089
_cell_angle_alpha 90.00
_cell_angle_beta 90.00
_cell_angle_gamma 90.00
_space_group_name_H-M_alt 'P 4/n m m'
_space_group_IT_number 129
loop_
_space_group_symop_operation_xyz
'x,y,z'
'-x,-y,-z'
'-y+1/2,x,z'
'y+1/2,-x,-z'
'-x+1/2,-y+1/2,z'
'x+1/2,y+1/2,-z'
'y,-x+1/2,z'
'-y,x+1/2,-z'
'x+1/2,-y,-z'
'-x+1/2,y,z'
'-y,-x,-z'
'y,x,z'
'-x,y+1/2,-z'
'x,-y+1/2,z'
'y+1/2,x+1/2,-z'
'-y+1/2,-x+1/2,z'
loop_
_atom_site_label
_atom_site_type_symbol
_atom_site_fract_x
_atom_site_fract_y
_atom_site_fract_z
Zr1 Zr 0.2500 0.2500 0.2251
Ge1 Ge 0.2500 0.7500 0.5000
S1 S 0.2500 0.2500 0.8792
```

## GeSbTe3 (GGA-PBE)

Data for GeSbTe3 after structural relaxation.

Output
Volume   30.26 A^3/atom
Energy of formation from the pure elements   -328.4 meV per atom
Electronic total energy   -3.71 eV per atom

```
data_GeSbTe3
_chemical_formula_sum 'Ge3 Sb3 Te9'
_cell_length_a 4.2070
_cell_length_b 4.2070
_cell_length_c 29.6144
_cell_angle_alpha 90.00
_cell_angle_beta 90.00
_cell_angle_gamma 120.00
_space_group_name_H-M_alt 'R 3 m'
_space_group_IT_number 160
_space_group_name_Hall 'R 3 -2"'
loop_
_atom_site_label
_atom_site_type_symbol
_atom_site_fract_x
_atom_site_fract_y
_atom_site_fract_z
Ge1 Ge 0.0000 0.0000 0.0000
Sb1 Sb 0.0000 0.0000 0.7999
Te1 Te 0.0000 0.0000 0.1948
Te2 Te 0.0000 0.0000 0.4005
Te3 Te 0.0000 0.0000 0.6157
```

## GeSb4Te7 (GGA-PBE)

Data for GeSb4Te7 after structural relaxation.

Output
Volume   32.80 A^3/atom
Energy of formation from the pure elements   -366.0 meV per atom
Electronic total energy   -3.72 eV per atom

```
data_GeSb4Te7
_chemical_formula_sum 'Ge1 Sb4 Te7'
_cell_length_a 4.3242
_cell_length_b 4.3242
_cell_length_c 24.3022
_cell_angle_alpha 90.00
_cell_angle_beta 90.00
_cell_angle_gamma 120.00
_space_group_name_H-M_alt 'P -3 m 1'
_space_group_IT_number 164
_space_group_name_Hall '-P 3 2"'
loop_
_atom_site_label
_atom_site_type_symbol
_atom_site_fract_x
_atom_site_fract_y
_atom_site_fract_z
Ge1 Ge 0.0000 0.0000 0.0000
Sb1 Sb 0.3333 0.6667 0.5819
Sb2 Sb 0.3333 0.6667 0.8469
Te1 Te 0.0000 0.0000 0.2233
Te2 Te 0.0000 0.0000 0.5000
Te3 Te 0.3333 0.6667 0.0700
Te4 Te 0.3333 0.6667 0.3476
```